Below is a relaxed structure of SrAlF5, with properties calculated at the GGA-PBE level.

Values from the calculation:
E above lowest polymorph, eV/atom: 0.002
ΔH_f (0 K), eV per atom: -4.042
Corrected total energy (MP2020 scheme), eV per atom: -6.19
Space-group type: P2_1/c

Geometry as POSCAR:
```
SrAlF5
1.0
9.071 0.000 0.000
0.000 7.548 0.000
-8.254 0.000 10.860
Sr Al F
8 8 40
direct
0.180 0.221 0.362
0.180 0.279 0.862
0.259 0.722 0.538
0.259 0.778 0.038
0.741 0.222 0.962
0.741 0.278 0.462
0.820 0.721 0.138
0.820 0.779 0.638
0.298 0.206 0.665
0.298 0.294 0.165
0.304 0.700 0.313
0.304 0.800 0.813
0.696 0.200 0.187
0.696 0.300 0.687
0.702 0.706 0.835
0.702 0.794 0.335
0.077 0.218 0.637
0.077 0.282 0.137
0.117 0.738 0.152
0.117 0.762 0.652
0.152 0.565 0.332
0.152 0.935 0.832
0.226 0.607 0.852
0.226 0.893 0.352
0.229 0.054 0.542
0.229 0.446 0.042
0.244 0.109 0.064
0.244 0.391 0.564
0.363 0.008 0.771
0.363 0.492 0.271
0.401 0.169 0.305
0.401 0.331 0.805
0.457 0.688 0.786
0.457 0.812 0.286
0.488 0.682 0.475
0.488 0.818 0.975
0.512 0.182 0.025
0.512 0.318 0.525
0.543 0.188 0.714
0.543 0.312 0.214
0.599 0.669 0.195
0.599 0.831 0.695
0.637 0.508 0.729
0.637 0.992 0.229
0.756 0.609 0.436
0.756 0.891 0.936
0.771 0.554 0.958
0.771 0.946 0.458
0.774 0.107 0.648
0.774 0.393 0.148
0.848 0.065 0.168
0.848 0.435 0.668
0.883 0.238 0.348
0.883 0.262 0.848
0.923 0.718 0.863
0.923 0.782 0.363
```

---

Below is a relaxed structure of Mo3WSe6S2, with properties calculated at the GGA-PBE level.

Values from the calculation:
E above lowest polymorph, eV/atom: 0.017
ΔH_f (0 K), eV per atom: -0.765
Corrected total energy (MP2020 scheme), eV per atom: -6.99
Space-group type: P3m1

Geometry as POSCAR:
```
Mo3WSe6S2
1.0
3.291 0.000 0.000
-1.646 2.850 0.000
0.000 0.000 37.074
Mo W Se S
3 1 6 2
direct
0.000 0.000 0.000
0.000 0.000 0.376
0.667 0.333 0.812
0.667 0.333 0.188
0.000 0.000 0.142
0.000 0.000 0.234
0.667 0.333 0.045
0.667 0.333 0.330
0.667 0.333 0.421
0.667 0.333 0.955
0.000 0.000 0.771
0.000 0.000 0.854
```

---

Below is a relaxed structure of K3Ce, with properties calculated at the GGA-PBE level.

Values from the calculation:
E above lowest polymorph, eV/atom: 0.179
ΔH_f (0 K), eV per atom: 0.811
Space-group type: P6_3/mmc

Geometry as POSCAR:
```
K3Ce
1.0
10.518 0.000 0.000
-5.259 9.109 0.000
0.000 0.000 8.174
K Ce
6 2
direct
0.170 0.340 0.250
0.170 0.830 0.250
0.340 0.170 0.750
0.660 0.830 0.250
0.830 0.170 0.750
0.830 0.660 0.750
0.333 0.667 0.750
0.667 0.333 0.250
```